No. 1
The following is a DFT calculation (GGA+U) of an optimized crystal structure of Mg6FeSnO8.

Lattice parameters (Å, degrees): 4.4732 4.4732 8.8236 90.00 90.00 90.00
Last column: nearest neighbours and their distance in Å.
Positions (direct):
Mg 0.0000 0.0000 0.0000  6 O 2.19-2.24
Mg 0.0000 0.0000 0.5000  6 O 2.22-2.24
Mg 0.0000 0.5000 0.2376  6 O 2.10-2.32
Mg 0.0000 0.5000 0.7624  6 O 2.10-2.32
Mg 0.5000 0.0000 0.2376  6 O 2.10-2.32
Mg 0.5000 0.0000 0.7624  6 O 2.10-2.32
Fe 0.5000 0.5000 0.0000  6 O 2.02-2.24
Sn 0.5000 0.5000 0.5000  6 O 2.24-2.39
O 0.0000 0.0000 0.2483  6 Mg 2.19-2.24
O 0.0000 0.0000 0.7517  6 Mg 2.19-2.24
O 0.0000 0.5000 0.0000  4 Mg 2.10-2.24, 2 Fe 2.24
O 0.0000 0.5000 0.5000  2 Sn 2.24, 4 Mg 2.24-2.32
O 0.5000 0.0000 0.0000  4 Mg 2.10-2.24, 2 Fe 2.24
O 0.5000 0.0000 0.5000  2 Sn 2.24, 4 Mg 2.24-2.32
O 0.5000 0.5000 0.2295  1 Fe 2.02, 4 Mg 2.24
O 0.5000 0.5000 0.7705  1 Fe 2.02, 4 Mg 2.24

- DFT formation energy: -2.46 eV/atom
- Relative energy among the computed polymorphs: 8 kJ/mol of formula units
- Volume: 11.0 Å³ per atom

---

No. 2
The following is a DFT calculation (GGA+U) of an optimized crystal structure of Mg6FeSnO8.

Lattice parameters (Å, degrees): 4.4669 4.4669 8.7971 90.00 90.00 90.00
Last column: nearest neighbours and their distance in Å.
Positions (direct):
Mg 0.0000 0.0000 0.0000  6 O 2.16-2.23
Mg 0.0000 0.5000 0.2387  6 O 2.10-2.30
Mg 0.0000 0.5000 0.7613  6 O 2.10-2.30
Mg 0.5000 0.0000 0.2387  6 O 2.10-2.30
Mg 0.5000 0.0000 0.7613  6 O 2.10-2.30
Mg 0.5000 0.5000 0.0000  2 O 1.99
Fe 0.0000 0.0000 0.5000  6 O 2.23
Sn 0.5000 0.5000 0.5000  6 O 2.23-2.41
O 0.0000 0.0000 0.2459  5 Mg 2.16-2.23, 1 Fe 2.23
O 0.0000 0.0000 0.7541  5 Mg 2.16-2.23, 1 Fe 2.23
O 0.0000 0.5000 0.0000  6 Mg 2.10-2.23
O 0.0000 0.5000 0.5000  2 Sn 2.23, 2 Fe 2.23, 2 Mg 2.30
O 0.5000 0.0000 0.0000  6 Mg 2.10-2.23
O 0.5000 0.0000 0.5000  2 Sn 2.23, 2 Fe 2.23, 2 Mg 2.30
O 0.5000 0.5000 0.2264  1 Mg 1.99
O 0.5000 0.5000 0.7736  1 Mg 1.99

- DFT formation energy: -2.46 eV/atom
- Relative energy among the computed polymorphs: 0 kJ/mol of formula units
- Volume: 11.0 Å³ per atom